Version a
## MgMn4Si8O22 (PBE+U)

Data for an optimized crystal structure of MgMn4Si8O22.

Properties
Total moment (μB/atom): 0.514

a = 8.6942 Å, b = 7.6686 Å, c = 7.1296 Å
α = 107.42°, β = 103.17°, γ = 99.02°
Closest atoms and distances in Å follow each position.
Sites, in units of the cell vectors:
O 0.7053 0.9509 0.6060  2 Si 1.63-1.65
O 0.2686 0.0196 0.3861  2 Si 1.65-1.67
Mn 0.6190 0.3722 0.1285  4 O 1.86-2.06
Si 0.2190 0.2069 0.5198  4 O 1.61-1.67
O 0.4311 0.8174 0.1756  1 Si 1.61
O 0.3783 0.3860 0.6119  1 Si 1.64
O 0.1539 0.6250 0.7722  1 Si 1.60
O 0.8335 0.4289 0.6705  1 Si 1.61
O 0.4308 0.8199 0.6776  1 Si 1.65
O 0.9417 0.7620 0.6127  2 Si 1.65-1.72
O 0.5421 0.2072 0.3459  1 Si 1.64
Mn 0.3943 0.6379 0.3455  5 O 2.04-2.29
O 0.7132 0.9502 0.9813  2 Si 1.63-1.64
O 0.2810 0.0433 0.0200  2 Si 1.64-1.67
O 0.0696 0.2725 0.0246  2 Si 1.62-1.67
O 0.8269 0.8467 0.2907  2 Si 1.61-1.62
Si 0.2258 0.2177 0.9561  4 O 1.62-1.66
O 0.6397 0.5846 0.9184  1 Si 1.66
O 0.1753 0.1288 0.7009  2 Si 1.66-1.67
Si 0.0277 0.3836 0.2399  4 O 1.60-1.67
O 0.3834 0.4013 0.0536  1 Si 1.65
Si 0.9683 0.6267 0.7648  4 O 1.60-1.72
O 0.5811 0.1954 0.8459  1 Si 1.64
Si 0.3885 0.0207 0.2335  4 O 1.61-1.67
Mn 0.3920 0.6258 0.8791  4 O 2.03-2.19
Mn 0.6095 0.3738 0.6431  4 O 1.88-2.07
Mg 0.1860 0.8060 0.6029  4 O 2.00-2.12
O 0.8440 0.4060 0.1993  1 Si 1.60
O 0.0641 0.2520 0.3855  2 Si 1.61-1.67
O 0.9504 0.7604 0.9834  2 Si 1.62-1.65
O 0.1564 0.5897 0.3458  1 Si 1.63
O 0.6318 0.5897 0.3805  1 Si 1.64
Si 0.7746 0.7867 0.4697  4 O 1.61-1.65
Si 0.7834 0.7828 0.0427  4 O 1.62-1.66
Si 0.6050 0.9802 0.7786  4 O 1.64-1.65

=====

Version b
## MgMn4Si8O22 (PBE+U)

Data for an optimized crystal structure of MgMn4Si8O22.

Properties
Total moment (μB/atom): 0.514

a = 8.7592 Å, b = 7.7096 Å, c = 7.1547 Å
α = 108.68°, β = 102.25°, γ = 97.27°
Closest atoms and distances in Å follow each position.
Sites, in units of the cell vectors:
Mg 0.1449 0.7549 0.1508  4 O 1.93-2.15
O 0.0630 0.2960 0.4153  2 Si 1.62-1.66
O 0.5802 0.1898 0.8330  1 Si 1.64
O 0.5523 0.1991 0.3649  1 Si 1.61
Si 0.7666 0.7825 0.0462  4 O 1.62-1.65
Mn 0.4015 0.6220 0.3685  5 O 2.09-2.26
O 0.6996 0.9566 0.9998  2 Si 1.63-1.66
O 0.2460 0.0410 0.3486  2 Si 1.67-1.70
O 0.1851 0.1603 0.7067  2 Si 1.62-1.63
O 0.4025 0.8122 0.1848  1 Si 1.63
O 0.9441 0.7236 0.5966  2 Si 1.63-1.64
Si 0.6105 0.9753 0.7796  4 O 1.63-1.66
O 0.8468 0.4006 0.1668  1 Si 1.60
O 0.6296 0.5872 0.9217  1 Si 1.65
Si 0.0292 0.3808 0.2272  4 O 1.60-1.66
O 0.1530 0.5822 0.2961  1 Si 1.64
O 0.1403 0.5994 0.8508  1 Si 1.61
Si 0.3983 0.0336 0.2353  4 O 1.61-1.70
O 0.3763 0.3957 0.5996  1 Si 1.65
O 0.7298 0.9427 0.6279  2 Si 1.63-1.64
Si 0.2419 0.2135 0.9539  4 O 1.63-1.66
O 0.0841 0.2353 0.0383  2 Si 1.63-1.66
Mn 0.6046 0.3739 0.6487  4 O 1.86-2.06
O 0.8275 0.8375 0.2923  2 Si 1.62-1.63
O 0.9315 0.7580 0.9738  2 Si 1.65-1.72
Mn 0.6233 0.3774 0.1139  4 O 1.89-2.03
Si 0.7858 0.7717 0.4738  4 O 1.63-1.65
O 0.3910 0.3978 0.0709  1 Si 1.65
Mn 0.3789 0.6544 0.8554  5 O 2.07-2.31
O 0.4529 0.8056 0.6734  1 Si 1.63
Si 0.2148 0.2279 0.5226  4 O 1.62-1.67
Si 0.9590 0.6070 0.7530  4 O 1.61-1.72
O 0.3152 0.0418 0.0083  2 Si 1.66
O 0.8237 0.4187 0.6753  1 Si 1.61
O 0.6380 0.5857 0.3739  1 Si 1.65

=====

Stability, highest: version a

=====

Version a
## MgMnSi2O6 (PBE+U)

Data for an optimized crystal structure of MgMnSi2O6.

Properties
Total moment (μB/atom): 0.500

a = 5.3349 Å, b = 9.0972 Å, c = 18.6641 Å
α = 90.00°, β = 90.00°, γ = 90.00°
Closest atoms and distances in Å follow each position.
Sites, in units of the cell vectors:
O 0.7076 0.8363 0.5637  1 Si 1.64
O 0.5559 0.6647 0.6836  1 Si 1.63
Si 0.4403 0.3391 0.2290  4 O 1.62-1.68
Mn 0.3806 0.9845 0.8769  4 O 2.09-2.20
Mg 0.1163 0.8490 0.1251  6 O 2.06-2.24
O 0.5559 0.1647 0.8164  1 Si 1.63
Mn 0.1194 0.4845 0.1231  4 O 2.09-2.20
O 0.9441 0.1647 0.3164  1 Si 1.63
Mn 0.8806 0.0155 0.6231  4 O 2.09-2.20
Si 0.7920 0.3366 0.5241  4 O 1.62-1.68
O 0.5565 0.5026 0.8102  1 Si 1.62
O 0.1696 0.2683 0.1987  2 Si 1.66-1.68
O 0.7924 0.8363 0.0637  1 Si 1.64
Si 0.0597 0.3391 0.7290  4 O 1.62-1.68
O 0.5800 0.2115 0.5512  2 Si 1.68
O 0.4435 0.9974 0.3102  1 Si 1.62
O 0.1696 0.7683 0.3013  2 Si 1.66-1.68
O 0.3304 0.7683 0.8013  2 Si 1.66-1.68
O 0.5565 0.0026 0.6898  1 Si 1.62
Mg 0.3837 0.8490 0.6251  6 O 2.06-2.24
O 0.9200 0.7115 0.4488  2 Si 1.68
O 0.9200 0.2115 0.0512  2 Si 1.68
Mn 0.8806 0.5155 0.8769  4 O 2.09-2.20
Mn 0.1194 0.9845 0.3769  4 O 2.09-2.20
Si 0.5597 0.6609 0.7710  4 O 1.62-1.68
O 0.7859 0.9871 0.4356  1 Si 1.62
O 0.7859 0.4871 0.0644  1 Si 1.62
O 0.0800 0.7885 0.9488  2 Si 1.68
O 0.2076 0.6637 0.5637  1 Si 1.64
Si 0.7080 0.3366 0.0241  4 O 1.62-1.68
O 0.0559 0.3353 0.8164  1 Si 1.63
Si 0.9403 0.1609 0.2290  4 O 1.62-1.68
O 0.4200 0.7885 0.4488  2 Si 1.68
O 0.0565 0.4974 0.6898  1 Si 1.62
O 0.8304 0.2317 0.6987  2 Si 1.66-1.68
O 0.3304 0.2683 0.6987  2 Si 1.66-1.68
O 0.7141 0.9871 0.9356  1 Si 1.62
Si 0.2920 0.1634 0.5241  4 O 1.62-1.68
Mg 0.3837 0.3490 0.8749  6 O 2.06-2.24
O 0.2141 0.0129 0.5644  1 Si 1.62
O 0.7076 0.3363 0.9363  1 Si 1.64
O 0.2924 0.1637 0.4363  1 Si 1.64
O 0.4441 0.3353 0.3164  1 Si 1.63
O 0.7924 0.3363 0.4363  1 Si 1.64
Si 0.7080 0.8366 0.4759  4 O 1.62-1.68
Si 0.4403 0.8391 0.2710  4 O 1.62-1.68
O 0.9435 0.0026 0.1898  1 Si 1.62
O 0.9441 0.6647 0.1836  1 Si 1.63
Si 0.0597 0.8391 0.7710  4 O 1.62-1.68
Mg 0.1163 0.3490 0.3749  6 O 2.06-2.24
O 0.5800 0.7115 0.9488  2 Si 1.68
Mg 0.8837 0.1510 0.8749  6 O 2.06-2.24
Si 0.5597 0.1609 0.7290  4 O 1.62-1.68
O 0.8304 0.7317 0.8013  2 Si 1.66-1.68
O 0.0800 0.2885 0.5512  2 Si 1.68
Mn 0.6194 0.5155 0.3769  4 O 2.09-2.20
Si 0.7920 0.8366 0.9759  4 O 1.62-1.68
Si 0.9403 0.6609 0.2710  4 O 1.62-1.68
O 0.4200 0.2885 0.0512  2 Si 1.68
Si 0.2080 0.1634 0.0241  4 O 1.62-1.68
Mg 0.6163 0.6510 0.1251  6 O 2.06-2.24
O 0.4441 0.8353 0.1836  1 Si 1.63
O 0.2924 0.6637 0.0637  1 Si 1.64
O 0.0559 0.8353 0.6836  1 Si 1.63
O 0.7141 0.4871 0.5644  1 Si 1.62
O 0.2859 0.5129 0.4356  1 Si 1.62
O 0.2859 0.0129 0.0644  1 Si 1.62
O 0.6696 0.2317 0.1987  2 Si 1.66-1.68
O 0.4435 0.4974 0.1898  1 Si 1.62
Si 0.2080 0.6634 0.4759  4 O 1.62-1.68
Si 0.2920 0.6634 0.9759  4 O 1.62-1.68
Mg 0.8837 0.6510 0.6251  6 O 2.06-2.24
O 0.6696 0.7317 0.3013  2 Si 1.66-1.68
Mg 0.6163 0.1510 0.3749  6 O 2.06-2.24
O 0.2076 0.1637 0.9363  1 Si 1.64
O 0.2141 0.5129 0.9356  1 Si 1.62
Mn 0.6194 0.0155 0.1231  4 O 2.09-2.20
O 0.9435 0.5026 0.3102  1 Si 1.62
O 0.0565 0.9974 0.8102  1 Si 1.62
Mn 0.3806 0.4845 0.6231  4 O 2.09-2.20

=====

Version b
## MgMnSi2O6 (PBE+U)

Data for an optimized crystal structure of MgMnSi2O6.

Properties
Total moment (μB/atom): 0.000

a = 5.4743 Å, b = 6.8816 Å, c = 6.8817 Å
α = 85.44°, β = 74.31°, γ = 74.31°
Closest atoms and distances in Å follow each position.
Sites, in units of the cell vectors:
O 0.1284 0.1434 0.6183  1 Si 1.62
O 0.8716 0.8566 0.3817  1 Si 1.62
Mg 0.2500 0.7584 0.2416  4 O 1.99-2.03
Si 0.7905 0.7880 0.6158  4 O 1.62-1.66
Mg 0.7500 0.2417 0.7584  4 O 1.99-2.03
Mn 0.2500 0.1046 0.8953  6 O 2.16-2.36
O 0.6675 0.9696 0.7833  1 Si 1.64
Mn 0.7500 0.8953 0.1047  6 O 2.16-2.36
O 0.6284 0.6183 0.1434  1 Si 1.62
O 0.0731 0.6472 0.6535  2 Si 1.66
O 0.5731 0.6535 0.6472  2 Si 1.66
O 0.9269 0.3528 0.3465  2 Si 1.66
O 0.8324 0.2167 0.0304  1 Si 1.64
O 0.4269 0.3465 0.3528  2 Si 1.66
O 0.3325 0.0304 0.2166  1 Si 1.64
O 0.1676 0.7834 0.9696  1 Si 1.64
Si 0.2095 0.2120 0.3842  4 O 1.62-1.66
Si 0.7095 0.3842 0.2120  4 O 1.62-1.66
O 0.3716 0.3817 0.8566  1 Si 1.62
Si 0.2905 0.6158 0.7880  4 O 1.62-1.66

=====

Stability, highest: version a